Record 1
The following is a DFT calculation (PBE with a Hubbard U) of a geometry-optimized V2CoO7 structure.

The space group is P2_1/c, No. 14. Its total energy is -6.798 eV per atom. For the formation energy from the elements, the calculation gives -1.792 eV/atom.

a b c (Å): 6.560 15.007 11.094
angles (deg): 90.00 102.26 90.00
Sites, in units of the cell vectors:
1 V 0.007 0.201 0.301
2 V 0.007 0.299 0.801
3 V 0.074 0.004 0.320
4 V 0.074 0.496 0.820
5 V 0.353 0.142 0.983
6 V 0.353 0.358 0.483
7 V 0.375 0.639 0.982
8 V 0.375 0.861 0.482
9 V 0.625 0.139 0.518
10 V 0.625 0.361 0.018
11 V 0.647 0.642 0.517
12 V 0.647 0.858 0.017
13 V 0.926 0.504 0.180
14 V 0.926 0.996 0.680
15 V 0.993 0.701 0.199
16 V 0.993 0.799 0.699
17 Co 0.137 0.177 0.576
18 Co 0.137 0.323 0.076
19 Co 0.489 0.246 0.250
20 Co 0.489 0.254 0.750
21 Co 0.511 0.746 0.250
22 Co 0.511 0.754 0.750
23 Co 0.863 0.677 0.924
24 Co 0.863 0.823 0.424
25 O 0.061 0.602 0.279
26 O 0.061 0.898 0.779
27 O 0.083 0.117 0.428
28 O 0.083 0.383 0.928
29 O 0.114 0.077 0.662
30 O 0.114 0.423 0.162
31 O 0.144 0.227 0.959
32 O 0.144 0.273 0.459
33 O 0.152 0.701 0.949
34 O 0.152 0.799 0.449
35 O 0.192 0.249 0.214
36 O 0.192 0.251 0.714
37 O 0.199 0.532 0.720
38 O 0.199 0.968 0.220
39 O 0.221 0.743 0.721
40 O 0.221 0.757 0.221
41 O 0.268 0.041 0.963
42 O 0.268 0.459 0.463
43 O 0.284 0.530 0.962
44 O 0.284 0.970 0.462
45 O 0.439 0.168 0.616
46 O 0.439 0.332 0.116
47 O 0.492 0.159 0.136
48 O 0.492 0.341 0.636
49 O 0.493 0.170 0.867
50 O 0.493 0.330 0.367
51 O 0.500 0.155 0.367
52 O 0.500 0.345 0.867
53 O 0.500 0.655 0.133
54 O 0.500 0.845 0.633
55 O 0.507 0.670 0.633
56 O 0.507 0.830 0.133
57 O 0.508 0.659 0.364
58 O 0.508 0.841 0.864
59 O 0.561 0.668 0.884
60 O 0.561 0.832 0.384
61 O 0.716 0.030 0.538
62 O 0.716 0.470 0.038
63 O 0.732 0.541 0.537
64 O 0.732 0.959 0.037
65 O 0.779 0.243 0.779
66 O 0.779 0.257 0.279
67 O 0.801 0.032 0.780
68 O 0.801 0.468 0.280
69 O 0.808 0.749 0.286
70 O 0.808 0.751 0.786
71 O 0.848 0.201 0.551
72 O 0.848 0.299 0.051
73 O 0.856 0.727 0.541
74 O 0.856 0.773 0.041
75 O 0.886 0.577 0.838
76 O 0.886 0.923 0.338
77 O 0.917 0.617 0.072
78 O 0.917 0.883 0.572
79 O 0.939 0.102 0.221
80 O 0.939 0.398 0.721

=====

Record 2
The following is a DFT calculation (PBE with a Hubbard U) of a geometry-optimized V2CoO6 structure.

The space group is C2/c, No. 15. Its total energy is -7.214 eV per atom. For the formation energy from the elements, the calculation gives -2.125 eV/atom.

a b c (Å): 6.821 6.821 5.887
angles (deg): 105.67 105.67 83.49
Sites, in units of the cell vectors:
1 V 0.113 0.295 0.245
2 V 0.295 0.113 0.745
3 V 0.705 0.887 0.255
4 V 0.887 0.705 0.755
5 Co 0.414 0.586 0.750
6 Co 0.586 0.414 0.250
7 O 0.118 0.588 0.774
8 O 0.129 0.150 0.945
9 O 0.150 0.129 0.445
10 O 0.307 0.464 0.365
11 O 0.412 0.882 0.726
12 O 0.464 0.307 0.865
13 O 0.536 0.693 0.135
14 O 0.588 0.118 0.274
15 O 0.693 0.536 0.635
16 O 0.850 0.871 0.555
17 O 0.871 0.850 0.055
18 O 0.882 0.412 0.226

=====

Record 3
The following is a DFT calculation (PBE with a Hubbard U) of a geometry-optimized V2CoO6 structure.

The space group is C2, No. 5. Its total energy is -7.185 eV per atom. For the formation energy from the elements, the calculation gives -2.096 eV/atom.

a b c (Å): 5.029 5.029 6.732
angles (deg): 109.86 109.86 41.22
Sites, in units of the cell vectors:
1 V 0.194 0.194 0.156
2 V 0.806 0.806 0.844
3 Co 0.987 0.013 0.500
4 O 0.035 0.036 0.225
5 O 0.307 0.308 0.935
6 O 0.350 0.344 0.389
7 O 0.656 0.650 0.611
8 O 0.692 0.693 0.065
9 O 0.964 0.965 0.775

=====

Record 4
The following is a DFT calculation (PBE with a Hubbard U) of a geometry-optimized V5CoO23 structure.

For the energy above the lowest structure with this stoichiometry, the calculation gives 0.000 eV/atom. The space group is P-1, No. 2. Its total energy is -6.146 eV per atom. For the formation energy from the elements, the calculation gives -0.761 eV/atom.

a b c (Å): 8.632 10.546 10.857
angles (deg): 69.02 71.99 71.66
Sites, in units of the cell vectors:
1 V 0.120 0.204 0.044
2 V 0.143 0.275 0.300
3 V 0.151 0.456 0.749
4 V 0.179 0.511 0.014
5 V 0.207 0.747 0.728
6 V 0.793 0.253 0.272
7 V 0.821 0.489 0.986
8 V 0.849 0.544 0.251
9 V 0.857 0.725 0.700
10 V 0.880 0.796 0.956
11 Co 0.278 0.724 0.294
12 Co 0.722 0.276 0.706
13 O 0.007 0.447 0.342
14 O 0.013 0.651 0.092
15 O 0.021 0.587 0.878
16 O 0.045 0.797 0.630
17 O 0.066 0.851 0.845
18 O 0.111 0.657 0.374
19 O 0.143 0.882 0.327
20 O 0.215 0.088 0.963
21 O 0.229 0.167 0.175
22 O 0.235 0.796 0.091
23 O 0.237 0.364 0.929
24 O 0.255 0.200 0.412
25 O 0.257 0.148 0.696
26 O 0.268 0.323 0.675
27 O 0.270 0.413 0.150
28 O 0.286 0.570 0.682
29 O 0.300 0.622 0.894
30 O 0.346 0.836 0.634
31 O 0.366 0.850 0.035
32 O 0.379 0.701 0.412
33 O 0.395 0.076 0.668
34 O 0.411 0.587 0.235
35 O 0.444 0.840 0.125
36 O 0.556 0.160 0.875
37 O 0.589 0.413 0.765
38 O 0.605 0.924 0.332
39 O 0.621 0.299 0.588
40 O 0.634 0.150 0.965
41 O 0.654 0.164 0.366
42 O 0.700 0.378 0.106
43 O 0.714 0.430 0.318
44 O 0.730 0.587 0.850
45 O 0.732 0.677 0.325
46 O 0.743 0.852 0.304
47 O 0.745 0.800 0.588
48 O 0.763 0.636 0.071
49 O 0.765 0.204 0.909
50 O 0.771 0.833 0.825
51 O 0.785 0.912 0.037
52 O 0.857 0.118 0.673
53 O 0.889 0.343 0.626
54 O 0.934 0.149 0.155
55 O 0.955 0.203 0.370
56 O 0.979 0.413 0.122
57 O 0.987 0.349 0.908
58 O 0.993 0.553 0.658

=====

Record 5
The following is a DFT calculation (PBE with a Hubbard U) of a geometry-optimized V5CoO23 structure.

For the energy above the lowest structure with this stoichiometry, the calculation gives 0.115 eV/atom. The space group is P-1, No. 2. Its total energy is -6.032 eV per atom. For the formation energy from the elements, the calculation gives -0.646 eV/atom.

a b c (Å): 8.858 10.675 10.809
angles (deg): 66.19 74.51 70.50
Sites, in units of the cell vectors:
1 V 0.119 0.200 0.053
2 V 0.139 0.269 0.317
3 V 0.151 0.451 0.749
4 V 0.177 0.505 0.022
5 V 0.201 0.746 0.727
6 V 0.799 0.254 0.273
7 V 0.823 0.495 0.978
8 V 0.849 0.549 0.251
9 V 0.861 0.731 0.683
10 V 0.881 0.800 0.947
11 Co 0.278 0.743 0.281
12 Co 0.722 0.257 0.719
13 O 0.009 0.438 0.350
14 O 0.015 0.647 0.094
15 O 0.018 0.587 0.880
16 O 0.041 0.804 0.622
17 O 0.063 0.848 0.840
18 O 0.113 0.663 0.364
19 O 0.142 0.872 0.348
20 O 0.177 0.777 0.141
21 O 0.215 0.073 0.991
22 O 0.216 0.164 0.194
23 O 0.230 0.361 0.938
24 O 0.241 0.110 0.739
25 O 0.250 0.186 0.436
26 O 0.259 0.330 0.674
27 O 0.266 0.401 0.166
28 O 0.274 0.570 0.688
29 O 0.292 0.614 0.903
30 O 0.334 0.833 0.635
31 O 0.382 0.694 0.416
32 O 0.396 0.046 0.731
33 O 0.401 0.623 0.192
34 O 0.431 0.917 0.804
35 O 0.438 0.823 0.184
36 O 0.562 0.177 0.816
37 O 0.569 0.083 0.196
38 O 0.599 0.377 0.808
39 O 0.604 0.954 0.269
40 O 0.618 0.306 0.584
41 O 0.666 0.167 0.365
42 O 0.708 0.386 0.097
43 O 0.726 0.430 0.312
44 O 0.734 0.599 0.834
45 O 0.741 0.670 0.326
46 O 0.750 0.814 0.564
47 O 0.759 0.890 0.261
48 O 0.770 0.639 0.062
49 O 0.784 0.836 0.806
50 O 0.785 0.927 0.009
51 O 0.823 0.223 0.859
52 O 0.858 0.128 0.652
53 O 0.887 0.337 0.636
54 O 0.937 0.152 0.160
55 O 0.959 0.196 0.378
56 O 0.982 0.413 0.120
57 O 0.985 0.353 0.906
58 O 0.991 0.562 0.650

=====

Record 6
The following is a DFT calculation (PBE with a Hubbard U) of a geometry-optimized V2CoO6 structure.

The space group is C2/m, No. 12. Its total energy is -6.970 eV per atom. For the formation energy from the elements, the calculation gives -1.881 eV/atom.

a b c (Å): 7.575 7.575 6.867
angles (deg): 103.94 103.94 28.28
Sites, in units of the cell vectors:
1 V 0.223 0.223 0.158
2 V 0.777 0.777 0.842
3 Co 0.000 0.000 0.000
4 O 0.105 0.105 0.191
5 O 0.282 0.282 0.928
6 O 0.300 0.300 0.372
7 O 0.700 0.700 0.628
8 O 0.718 0.718 0.072
9 O 0.895 0.895 0.809